# 1
! PBE Na7NbZn3P6O24, optimized geometry; values from VASP
&SYSTEM
  ibrav = 0, nat = 123, ntyp = 5
/
ATOMIC_SPECIES
Na 22.99 Na.upf
O 16.00 O.upf
Zn 65.41 Zn.upf
P 30.97 P.upf
Nb 92.91 Nb.upf
CELL_PARAMETERS angstrom
9.026 0.007 -0.006
-4.507 7.800 -0.004
-0.014 -0.020 22.149
ATOMIC_POSITIONS crystal
Na 0.367 0.367 0.249
Na 0.000 0.633 0.249
Na 0.664 0.322 0.827
Na 0.293 0.960 0.086
Na 0.333 0.666 0.169
Na 0.989 0.989 0.997
Na 0.040 0.707 0.586
Na 0.633 0.000 0.249
Na 0.649 0.635 0.747
Na 0.666 0.961 0.586
Na 0.294 0.334 0.586
Na 0.702 0.682 0.407
Na 0.667 0.333 0.322
Na 0.000 0.000 0.499
Na 0.980 0.298 0.407
Na 0.666 0.706 0.087
Na 0.042 0.333 0.087
Na 0.334 0.678 0.662
Na 0.318 0.020 0.407
Na 0.989 0.353 0.747
Na 0.320 0.294 0.912
O 0.811 0.990 0.413
O 0.199 0.032 0.584
O 0.860 0.360 0.922
O 0.685 0.159 0.745
O 0.839 0.316 0.247
O 0.141 0.495 0.579
O 0.501 0.143 0.921
O 0.483 0.362 0.140
O 0.832 0.803 0.583
O 0.164 0.478 0.254
O 0.684 0.522 0.246
O 0.970 0.168 0.584
O 0.971 0.793 0.803
O 0.832 0.032 0.083
O 0.505 0.646 0.579
O 0.166 0.685 0.759
O 0.489 0.124 0.638
O 0.880 0.362 0.642
O 0.500 0.352 0.425
O 0.682 0.162 0.029
O 0.139 0.645 0.078
O 0.314 0.836 0.254
O 0.353 0.858 0.578
O 0.187 0.971 0.193
O 0.476 0.318 0.026
O 0.649 0.149 0.425
O 0.183 0.994 0.911
O 0.312 0.862 0.978
O 0.200 0.168 0.082
O 0.477 0.162 0.246
O 0.681 0.525 0.529
O 0.822 0.029 0.804
O 0.505 0.860 0.078
O 0.355 0.495 0.078
O 0.143 0.693 0.476
O 0.471 0.153 0.527
O 0.109 0.625 0.362
O 0.968 0.800 0.083
O 0.810 0.783 0.308
O 0.523 0.833 0.760
O 0.851 0.500 0.426
O 0.375 0.485 0.362
O 0.029 0.216 0.193
O 0.641 0.520 0.642
O 0.009 0.821 0.413
O 0.133 0.492 0.862
O 0.515 0.890 0.362
O 0.312 0.483 0.759
O 0.185 0.227 0.694
O 0.881 0.518 0.141
O 0.217 0.027 0.308
O 0.213 0.194 0.809
O 0.355 0.862 0.865
O 0.036 0.806 0.689
O 0.506 0.639 0.863
O 0.768 0.953 0.691
O 0.839 0.521 0.029
O 0.973 0.190 0.308
O 0.522 0.686 0.254
O 0.547 0.686 0.977
O 0.784 0.813 0.193
O 0.808 0.821 0.910
O 0.022 0.197 0.910
O 0.179 0.189 0.413
O 0.482 0.334 0.747
O 0.638 0.119 0.141
O 0.307 0.450 0.476
O 0.146 0.454 0.975
O 0.843 0.318 0.529
O 0.633 0.494 0.921
O 0.550 0.857 0.476
O 0.848 0.521 0.746
Zn 0.000 0.000 0.156
Zn 0.667 0.334 0.183
Zn 0.335 0.669 0.015
Zn 0.333 0.667 0.513
Zn 0.660 0.326 0.685
Zn 0.000 0.000 0.341
Zn 0.995 0.993 0.849
Zn 0.002 0.999 0.657
Zn 0.333 0.667 0.316
P 0.040 0.372 0.919
P 0.963 0.335 0.586
P 0.296 0.295 0.752
P 0.373 0.037 0.585
P 0.332 0.372 0.418
P 0.039 0.667 0.418
P 0.708 0.002 0.750
P 0.665 0.628 0.586
P 0.630 0.671 0.919
P 0.374 0.335 0.084
P 0.001 0.298 0.250
P 0.962 0.627 0.085
P 0.331 0.961 0.921
P 0.665 0.038 0.085
P 0.702 0.703 0.250
P 0.297 0.999 0.250
P 0.000 0.707 0.749
P 0.629 0.961 0.418
Nb 0.333 0.673 0.815
Nb 0.666 0.333 0.482
Nb 0.671 0.334 0.979
! Size of the total moment ... 0.00 μB/f.u.
! Total DFT energy (no corrections) ... -6.40 eV/atom
! Energy with MP2020 corrections ... -6.8012 eV/atom
! DFT formation energy ... -2.548 eV per atom
! Space group ... No. 1

---

# 2
! PBE Na2NbZnP3O12, optimized geometry; values from VASP
&SYSTEM
  ibrav = 0, nat = 114, ntyp = 5
/
ATOMIC_SPECIES
O 16.00 O.upf
Na 22.99 Na.upf
Nb 92.91 Nb.upf
P 30.97 P.upf
Zn 65.41 Zn.upf
CELL_PARAMETERS angstrom
-0.568 2.450 8.535
-7.258 -2.628 -4.306
3.980 -21.213 6.235
ATOMIC_POSITIONS crystal
O 0.505 0.362 0.423
O 0.491 0.125 0.637
O 0.824 0.032 0.804
O 0.475 0.319 0.744
O 0.158 0.459 0.971
O 0.687 0.528 0.243
O 0.838 0.028 0.089
O 0.796 0.826 0.193
O 0.171 0.476 0.256
O 0.687 0.159 0.743
O 0.862 0.496 0.424
O 0.142 0.652 0.078
O 0.964 0.158 0.589
O 0.977 0.791 0.807
O 0.167 0.196 0.698
O 0.808 0.985 0.411
O 0.158 0.699 0.471
O 0.547 0.688 0.977
O 0.310 0.458 0.474
O 0.528 0.699 0.257
O 0.020 0.195 0.909
O 0.310 0.852 0.974
O 0.808 0.823 0.911
O 0.475 0.156 0.244
O 0.851 0.330 0.244
O 0.195 0.032 0.590
O 0.834 0.304 0.531
O 0.353 0.861 0.576
O 0.167 0.971 0.198
O 0.643 0.518 0.640
O 0.214 0.022 0.310
O 0.360 0.493 0.362
O 0.977 0.185 0.307
O 0.184 0.188 0.411
O 0.796 0.969 0.693
O 0.851 0.521 0.744
O 0.693 0.160 0.029
O 0.834 0.530 0.031
O 0.528 0.829 0.757
O 0.026 0.200 0.196
O 0.129 0.493 0.860
O 0.880 0.355 0.643
O 0.360 0.866 0.862
O 0.171 0.695 0.756
O 0.214 0.192 0.810
O 0.824 0.792 0.304
O 0.020 0.825 0.409
O 0.517 0.854 0.078
O 0.462 0.160 0.526
O 0.129 0.636 0.360
O 0.880 0.525 0.143
O 0.195 0.163 0.090
O 0.501 0.863 0.365
O 0.297 0.825 0.256
O 0.505 0.143 0.923
O 0.964 0.806 0.089
O 0.862 0.365 0.924
O 0.643 0.125 0.140
O 0.501 0.638 0.865
O 0.491 0.366 0.137
O 0.462 0.303 0.026
O 0.631 0.492 0.922
O 0.631 0.139 0.422
O 0.142 0.490 0.578
O 0.838 0.809 0.589
O 0.547 0.859 0.477
O 0.517 0.663 0.578
O 0.353 0.492 0.076
O 0.297 0.472 0.756
O 0.693 0.533 0.529
O 0.184 0.996 0.911
O 0.026 0.827 0.696
Na 0.654 0.690 0.080
Na 0.654 0.964 0.580
Na 0.320 0.023 0.414
Na 0.987 0.356 0.747
Na 0.664 0.330 0.325
Na 0.331 0.664 0.658
Na 0.998 0.997 0.992
Na 0.664 0.334 0.825
Na 0.987 0.631 0.247
Na 0.320 0.297 0.914
Na 0.998 0.001 0.492
Na 0.331 0.667 0.158
Nb 0.672 0.341 0.480
Nb 0.339 0.665 0.313
Nb 0.339 0.674 0.813
Nb 0.672 0.331 0.980
Nb 0.006 0.008 0.146
Nb 0.006 0.998 0.646
P 0.629 0.957 0.420
P 0.629 0.672 0.920
P 0.044 0.376 0.917
P 0.997 0.290 0.253
P 0.378 0.335 0.084
P 0.296 0.290 0.754
P 0.331 0.957 0.919
P 0.378 0.043 0.584
P 0.664 0.624 0.586
P 0.331 0.374 0.419
P 0.962 0.339 0.587
P 0.711 0.710 0.251
P 0.711 0.001 0.751
P 0.962 0.624 0.087
P 0.296 0.005 0.254
P 0.044 0.668 0.417
P 0.664 0.040 0.086
P 0.997 0.707 0.753
Zn 0.326 0.659 0.517
Zn 0.326 0.667 0.017
Zn 0.659 0.333 0.684
Zn 0.659 0.326 0.184
Zn 0.992 0.000 0.351
Zn 0.992 0.993 0.851
! Size of the total moment ... 0.00 μB/f.u.
! Total DFT energy (no corrections) ... -6.92 eV/atom
! Energy with MP2020 corrections ... -7.3560 eV/atom
! DFT formation energy ... -2.639 eV per atom

---

# 3
! PBE NaPrNb2O6, optimized geometry; values from VASP
&SYSTEM
  ibrav = 0, nat = 10, ntyp = 4
/
ATOMIC_SPECIES
Nb 92.91 Nb.upf
Na 22.99 Na.upf
O 16.00 O.upf
Pr 140.91 Pr.upf
CELL_PARAMETERS angstrom
-0.783 3.452 -4.503
0.387 -2.096 -5.316
-4.706 -0.520 -3.223
ATOMIC_POSITIONS crystal
Nb 0.250 0.250 0.250
Nb 0.750 0.750 0.750
Na 0.500 0.500 0.500
O 0.500 0.000 0.500
O 0.000 0.000 0.500
O 0.500 0.000 0.000
O 0.000 0.500 0.500
O 0.000 0.500 0.000
O 0.500 0.500 0.000
Pr 0.000 0.000 0.000
! Size of the total moment ... 0.02 μB/f.u.
! Total DFT energy (no corrections) ... -8.14 eV/atom
! Energy with MP2020 corrections ... -8.5543 eV/atom
! DFT formation energy ... -2.955 eV per atom
! Space group ... No. 225